Na3Tl, optimized geometry, DFT PBE; symmetry = Fm-3m (225); crystal system = cubic; formation energy = -30 kJ/mol of formula units; V = 122.67 Å³ per cell; energy above the most stable polymorph in this dataset = 0 meV per atom; uncorrected energy = -1.66 eV/atom
1.0
0.0000 3.9437 3.9437
3.9437 0.0000 3.9437
3.9437 3.9437 0.0000
Tl Na
1 3
Direct
0.0000 0.0000 0.0000
0.5000 0.5000 0.5000
0.2500 0.2500 0.2500
0.7500 0.7500 0.7500



Na3Tl, optimized geometry, DFT PBE; symmetry = I4/mmm (139); crystal system = tetragonal; formation energy = -26 kJ/mol of formula units; V = 122.59 Å³ per cell; energy above the most stable polymorph in this dataset = 11 meV per atom; uncorrected energy = -1.65 eV/atom
1.0
-1.6870 -5.3579 2.5605
1.9834 -0.4754 5.8266
-3.0836 4.3753 -3.0753
Na Tl
3 1
Direct
0.2500 0.7500 0.5000
0.7500 0.2500 0.5000
0.5000 0.5000 0.0000
0.0000 0.0000 0.0000